1.
A relaxed Cu39S20 crystal. Source: the Materials Project database, functional PBE.

Calculated values
Symmetry: C2, No. 5
Crystal system: monoclinic
MP2020-corrected energy, eV/atom: -4.265

Cell and atoms, written as CIF:
```
data_Cu39S20
_chemical_formula_sum 'Cu39 S20'
_cell_length_a 10.3081
_cell_length_b 10.3081
_cell_length_c 12.4716
_cell_angle_alpha 54.09
_cell_angle_beta 54.09
_cell_angle_gamma 62.91
_space_group_name_H-M_alt 'P 1'
_space_group_IT_number 1
loop_
_space_group_symop_operation_xyz
'x,y,z'
loop_
_atom_site_label
_atom_site_fract_x
_atom_site_fract_y
_atom_site_fract_z
S1 0.4515 0.7510 0.5933
S2 0.6435 0.9504 0.8084
S3 0.4104 0.2000 0.2952
S4 0.8925 0.6974 0.3006
S5 0.0079 0.8042 0.8899
S6 0.1056 0.8944 0.5000
S7 0.9594 0.2535 0.6000
S8 0.1958 0.9921 0.1101
S9 0.2490 0.5485 0.4067
S10 0.6925 0.5071 0.0933
S11 0.7465 0.0406 0.4000
S12 0.1523 0.4560 0.7980
S13 0.4929 0.3075 0.9067
S14 0.8000 0.5896 0.7048
S15 0.0496 0.3565 0.1916
S16 0.3026 0.1075 0.6994
S17 0.5936 0.4064 0.5000
S18 0.5440 0.8477 0.2020
S19 0.8568 0.1432 0.0000
S20 0.3422 0.6578 0.0000
Cu1 0.7916 0.0265 0.8663
Cu2 0.8133 0.8782 0.0933
Cu3 0.5995 0.4005 0.0000
Cu4 0.7366 0.5011 0.5478
Cu5 0.4523 0.7514 0.0936
Cu6 0.6373 0.6803 0.8808
Cu7 0.3197 0.3627 0.1192
Cu8 0.1003 0.8997 0.0000
Cu9 0.8676 0.3217 0.4354
Cu10 0.9735 0.2084 0.1337
Cu11 0.2486 0.5477 0.9064
Cu12 0.0135 0.8560 0.3643
Cu13 0.9549 0.5205 0.0050
Cu14 0.6506 0.9499 0.3001
Cu15 0.1440 0.9865 0.6357
Cu16 0.2389 0.2742 0.4836
Cu17 0.4989 0.2634 0.4522
Cu18 0.0583 0.6328 0.6026
Cu19 0.8185 0.5777 0.2358
Cu20 0.7258 0.7611 0.5164
Cu21 0.4223 0.1815 0.7642
Cu22 0.0501 0.3494 0.6999
Cu23 0.7605 0.3217 0.7987
Cu24 0.9125 0.7485 0.7883
Cu25 0.3497 0.6503 0.5000
Cu26 0.6783 0.1324 0.5646
Cu27 0.6783 0.2395 0.2013
Cu28 0.0890 0.4552 0.3237
Cu29 0.3672 0.9417 0.3974
Cu30 0.2909 0.8281 0.7867
Cu31 0.5448 0.9110 0.6763
Cu32 0.4795 0.0451 0.9950
Cu33 0.9593 0.1056 0.3733
Cu34 0.2515 0.0875 0.2117
Cu35 0.4351 0.4630 0.7076
Cu36 0.5370 0.5649 0.2924
Cu37 0.8944 0.0407 0.6267
Cu38 0.1719 0.7091 0.2133
Cu39 0.1218 0.1867 0.9067
```

***

2.
A relaxed Na5Al3Si3GeS3O24 crystal. Source: the Materials Project database, functional PBE.

Calculated values
Symmetry: P1, No. 1
Crystal system: triclinic
MP2020-corrected energy, eV/atom: -6.890

Cell and atoms, written as CIF:
```
data_Na5Al3Si3GeS3O24
_chemical_formula_sum 'Na15 Al9 Si9 Ge3 S9 O72'
_cell_length_a 8.6972
_cell_length_b 8.6540
_cell_length_c 21.6931
_cell_angle_alpha 91.31
_cell_angle_beta 90.36
_cell_angle_gamma 120.39
_space_group_name_H-M_alt 'P 1'
_space_group_IT_number 1
loop_
_space_group_symop_operation_xyz
'x,y,z'
loop_
_atom_site_label
_atom_site_fract_x
_atom_site_fract_y
_atom_site_fract_z
O1 0.0250 0.1819 0.1901
O2 0.2910 0.4867 0.7568
O3 0.8389 0.5266 0.7417
O4 0.2056 0.0284 0.3053
O5 0.4888 0.1303 0.6394
O6 0.1591 0.4657 0.9751
O7 0.6853 0.1819 0.7405
O8 0.4982 0.3471 0.1390
O9 0.1839 0.4914 0.2557
O10 0.4876 0.6450 0.5772
O11 0.2828 0.8278 0.9739
O12 0.3797 0.8756 0.8550
O13 0.6460 0.4911 0.9223
O14 0.2002 0.1729 0.0906
O15 0.6446 0.5027 0.6442
O16 0.1205 0.6236 0.3545
O17 0.3631 0.4915 0.3618
O18 0.1726 0.1979 0.4085
O19 0.8182 0.7815 0.3067
O20 0.1596 0.9819 0.9076
O21 0.8454 0.4964 0.4218
O22 0.8461 0.8231 0.5885
O23 0.0228 0.8485 0.4081
O24 0.1715 0.6907 0.4765
O25 0.6902 0.5285 0.5203
O26 0.6352 0.1584 0.4251
O27 0.8672 0.3573 0.6361
O28 0.3123 0.8464 0.2519
O29 0.4971 0.8611 0.3541
O30 0.4941 0.3605 0.4198
O31 0.5252 0.1530 0.9277
O32 0.7927 0.8149 0.1953
O33 0.9800 0.8258 0.0903
O34 0.5395 0.8321 0.4772
O35 0.1732 0.9702 0.1934
O36 0.1932 0.1540 0.8076
O37 0.9781 0.1764 0.5859
O38 0.5296 0.6899 0.2550
O39 0.5127 0.6290 0.8531
O40 0.3762 0.4968 0.0817
O41 0.8312 0.5280 0.0225
O42 0.8279 0.0248 0.0896
O43 0.4693 0.1688 0.2432
O44 0.5043 0.8635 0.0802
O45 0.6444 0.1297 0.1413
O46 0.1973 0.0242 0.5877
O47 0.8279 0.0301 0.8132
O48 0.5164 0.6979 0.9762
O49 0.1362 0.5019 0.5772
O50 0.9686 0.1639 0.3108
O51 0.4809 0.3233 0.7446
O52 0.4615 0.1548 0.5272
O53 0.3636 0.8678 0.5781
O54 0.8186 0.9890 0.4106
O55 0.3035 0.4569 0.4727
O56 0.1593 0.1884 0.6876
O57 0.9628 0.7835 0.8068
O58 0.4462 0.2890 0.0266
O59 0.8250 0.3085 0.2448
O60 0.6820 0.5200 0.2426
O61 0.0254 0.8205 0.6953
O62 0.8485 0.2973 0.5232
O63 0.7897 0.9579 0.6892
O64 0.1578 0.6407 0.0760
O65 0.1606 0.6962 0.7550
O66 0.1337 0.4982 0.8631
O67 0.5102 0.8291 0.7529
O68 0.0378 0.2042 0.9124
O69 0.8207 0.8455 0.9136
O70 0.6908 0.1502 0.0288
O71 0.8757 0.5147 0.1463
O72 0.8707 0.3559 0.9207
S1 0.6679 0.0429 0.0841
S2 0.9617 0.3386 0.5839
S3 0.9973 0.7083 0.7497
S4 0.0569 0.3838 0.9177
S5 0.3755 0.0471 0.5827
S6 0.3327 0.3781 0.4161
S7 0.7053 0.7032 0.2485
S8 0.2881 0.0077 0.2488
S9 0.3813 0.3315 0.0866
Na1 0.0140 0.9928 0.0008
Na2 0.0039 0.6262 0.2492
Na3 0.3079 0.6337 0.1620
Na4 0.3205 0.6335 0.6655
Na5 0.7065 0.6819 0.4251
Na6 0.0127 0.9837 0.5027
Na7 0.6417 0.0023 0.2571
Na8 0.6994 0.0276 0.9120
Na9 0.6497 0.3261 0.8324
Na10 0.9704 0.6752 0.9227
Na11 0.6563 0.3225 0.3329
Na12 0.3659 0.0110 0.7567
Na13 0.6682 0.9585 0.5868
Na14 0.9675 0.3085 0.4078
Na15 0.6325 0.6400 0.7440
Si1 0.2733 0.2851 0.7503
Si2 0.7183 0.0139 0.7503
Si3 0.6145 0.9555 0.4174
Si4 0.6640 0.6213 0.5855
Si5 0.0089 0.2870 0.2496
Si6 0.3304 0.9598 0.9177
Si7 0.6205 0.6696 0.9202
Si8 0.0546 0.6796 0.4172
Si9 0.9666 0.6297 0.0849
Ge1 0.6858 0.3454 0.4794
Ge2 0.3630 0.6766 0.8129
Ge3 0.6491 0.3470 0.9809
Al1 0.3172 0.6574 0.3173
Al2 0.0061 0.0027 0.1432
Al3 0.9900 0.9997 0.3561
Al4 0.9858 0.9907 0.6509
Al5 0.3439 0.6767 0.5188
Al6 0.6495 0.3339 0.6904
Al7 0.6925 0.3416 0.1835
Al8 0.3296 0.6863 0.0183
Al9 0.0063 0.0117 0.8544
```

***

3.
A relaxed Sr2NdSbO6 crystal. Source: the Materials Project database, functional PBE.

Calculated values
Symmetry: Fm-3m, No. 225
Crystal system: cubic
MP2020-corrected energy, eV/atom: -7.143

Cell and atoms, written as CIF:
```
data_Sr2NdSbO6
_chemical_formula_sum 'Sr2 Nd1 Sb1 O6'
_cell_length_a 6.0621
_cell_length_b 6.0621
_cell_length_c 6.0621
_cell_angle_alpha 60.00
_cell_angle_beta 60.00
_cell_angle_gamma 60.00
_space_group_name_H-M_alt 'P 1'
_space_group_IT_number 1
loop_
_space_group_symop_operation_xyz
'x,y,z'
loop_
_atom_site_label
_atom_site_fract_x
_atom_site_fract_y
_atom_site_fract_z
Sr1 0.7500 0.7500 0.7500
Sr2 0.2500 0.2500 0.2500
O1 0.2672 0.2672 0.7328
O2 0.7328 0.2672 0.2672
O3 0.2672 0.7328 0.7328
O4 0.2672 0.7328 0.2672
O5 0.7328 0.7328 0.2672
O6 0.7328 0.2672 0.7328
Nd1 0.0000 0.0000 0.0000
Sb1 0.5000 0.5000 0.5000
```

***

4.
A relaxed Sr2Ti2Sb2OF2 crystal. Source: the Materials Project database, functional PBE.

Calculated values
Symmetry: I4/mmm, No. 139
Crystal system: tetragonal
MP2020-corrected energy, eV/atom: -6.428

Cell and atoms, written as CIF:
```
data_Sr2Ti2Sb2OF2
_chemical_formula_sum 'Sr2 Ti2 Sb2 O1 F2'
_cell_length_a 11.0661
_cell_length_b 11.0661
_cell_length_c 11.0661
_cell_angle_alpha 158.58
_cell_angle_beta 158.58
_cell_angle_gamma 30.47
_space_group_name_H-M_alt 'P 1'
_space_group_IT_number 1
loop_
_space_group_symop_operation_xyz
'x,y,z'
loop_
_atom_site_label
_atom_site_fract_x
_atom_site_fract_y
_atom_site_fract_z
F1 0.7500 0.2500 0.5000
F2 0.2500 0.7500 0.5000
Sb1 0.0955 0.0955 0.0000
Sb2 0.9045 0.9045 0.0000
Sr1 0.3170 0.3170 0.0000
Sr2 0.6830 0.6830 0.0000
Ti1 0.0000 0.5000 0.5000
Ti2 0.5000 0.0000 0.5000
O1 0.5000 0.5000 0.0000
```

***

5.
A relaxed NaLiSiB3HO8 crystal. Source: the Materials Project database, functional PBE.

Calculated values
Symmetry: P2_1/c, No. 14
Crystal system: monoclinic
MP2020-corrected energy, eV/atom: -7.497

Cell and atoms, written as CIF:
```
data_NaLiSiB3HO8
_chemical_formula_sum 'Na4 Li4 Si4 B12 H4 O32'
_cell_length_a 14.0101
_cell_length_b 6.8341
_cell_length_c 7.7859
_cell_angle_alpha 55.59
_cell_angle_beta 90.00
_cell_angle_gamma 90.00
_space_group_name_H-M_alt 'P 1'
_space_group_IT_number 1
loop_
_space_group_symop_operation_xyz
'x,y,z'
loop_
_atom_site_label
_atom_site_fract_x
_atom_site_fract_y
_atom_site_fract_z
O1 0.9468 0.2486 0.3816
O2 0.6588 0.8753 0.3613
O3 0.2849 0.2718 0.2905
O4 0.1588 0.1247 0.1387
O5 0.8250 0.4553 0.1203
O6 0.0532 0.7514 0.6184
O7 0.4468 0.7514 0.1184
O8 0.7225 0.1874 0.9796
O9 0.5532 0.2486 0.8816
O10 0.3250 0.5447 0.3797
O11 0.0476 0.3191 0.8547
O12 0.2151 0.2718 0.7905
O13 0.7775 0.1874 0.4796
O14 0.2775 0.8126 0.0204
O15 0.5896 0.5363 0.1694
O16 0.3457 0.9680 0.2079
O17 0.1543 0.9680 0.7079
O18 0.9524 0.6809 0.1453
O19 0.9104 0.5363 0.6694
O20 0.8457 0.0320 0.2921
O21 0.2225 0.8126 0.5204
O22 0.6543 0.0320 0.7921
O23 0.4524 0.3191 0.3547
O24 0.6750 0.4553 0.6203
O25 0.4104 0.4637 0.8306
O26 0.1750 0.5447 0.8797
O27 0.0896 0.4637 0.3306
O28 0.3412 0.1247 0.6387
O29 0.8412 0.8753 0.8613
O30 0.7151 0.7282 0.7095
O31 0.5476 0.6809 0.6453
O32 0.7849 0.7282 0.2095
B1 0.6510 0.6828 0.5843
B2 0.3490 0.3172 0.4157
B3 0.1510 0.3172 0.9157
B4 0.3472 0.7655 0.1833
B5 0.1528 0.7655 0.6833
B6 0.9930 0.4632 0.2841
B7 0.4930 0.5368 0.2159
B8 0.8472 0.2345 0.3167
B9 0.5070 0.4632 0.7841
B10 0.0070 0.5368 0.7159
B11 0.6528 0.2345 0.8167
B12 0.8490 0.6828 0.0843
Si1 0.7474 0.9580 0.7091
Si2 0.2526 0.0420 0.2908
Si3 0.7526 0.9580 0.2092
Si4 0.2474 0.0420 0.7909
H1 0.6123 0.6941 0.0561
H2 0.3877 0.3059 0.9439
H3 0.8877 0.6941 0.5561
H4 0.1123 0.3059 0.4439
Li1 0.1990 0.5388 0.1268
Li2 0.3010 0.5388 0.6268
Li3 0.8010 0.4612 0.8732
Li4 0.6990 0.4612 0.3732
Na1 0.4919 0.9749 0.7435
Na2 0.5081 0.0251 0.2565
Na3 0.9919 0.0251 0.7565
Na4 0.0081 0.9749 0.2435
```

***

6.
A relaxed DyO3 crystal. Source: the Materials Project database, functional PBE.

Calculated values
Symmetry: P6_3/mmc, No. 194
Crystal system: hexagonal
MP2020-corrected energy, eV/atom: -6.859

Cell and atoms, written as CIF:
```
data_DyO3
_chemical_formula_sum 'Dy2 O6'
_cell_length_a 4.6530
_cell_length_b 4.6530
_cell_length_c 4.6600
_cell_angle_alpha 90.00
_cell_angle_beta 90.00
_cell_angle_gamma 120.00
_space_group_name_H-M_alt 'P 1'
_space_group_IT_number 1
loop_
_space_group_symop_operation_xyz
'x,y,z'
loop_
_atom_site_label
_atom_site_fract_x
_atom_site_fract_y
_atom_site_fract_z
O1 0.6380 0.8190 0.2500
O2 0.1810 0.8190 0.2500
O3 0.8190 0.1810 0.7500
O4 0.8190 0.6380 0.7500
O5 0.3620 0.1810 0.7500
O6 0.1810 0.3620 0.2500
Dy1 0.6667 0.3333 0.2500
Dy2 0.3333 0.6667 0.7500
```